Record 1
DFT (PBE-GGA) results for an optimized crystal structure of PmHoCu2.

As for the crystal system: cubic. Its total DFT energy (no corrections) is -4.5883 eV/atom. The calculated formation energy comes out at -79 kJ/mol of formula units.

The structure belongs to space group Fm-3m (No. 225); the cell edges are 7.0124, 7.0124 and 7.0124 Å and the angles 90.00°, 90.00° and 90.00°. The inequivalent atoms are Pm at (0.0000, 0.0000, 0.0000), Ho at (0.0000, 0.0000, 0.5000) and Cu at (0.2500, 0.2500, 0.2500).

Record 2
DFT (PBE-GGA) results for an optimized crystal structure of Ho2CuPt.

As for the crystal system: cubic. Its total DFT energy (no corrections) is -5.6137 eV/atom. The calculated formation energy comes out at -301 kJ/mol of formula units.

The structure belongs to space group Fm-3m (No. 225); the cell edges are 6.9386, 6.9386 and 6.9386 Å and the angles 90.00°, 90.00° and 90.00°. The inequivalent atoms are Ho at (0.2500, 0.2500, 0.2500), Cu at (0.0000, 0.0000, 0.0000) and Pt at (0.0000, 0.0000, 0.5000).